VASP calculation (PBE) on a relaxed structure of PrB2Pt2C.

Results
Its uncorrected energy is -43.15 eV for the cell shown. The calculation puts the formation energy at -607 meV/atom.

a = 6.058 Å, b = 6.058 Å, c = 6.058 Å
α = 142.70°, β = 142.70°, γ = 53.77°
Atoms (fractional coordinates):
B (0.637, 0.637, 0.000)
B (0.363, 0.363, 0.000)
Pr (0.000, 0.000, 0.000)
Pt (0.750, 0.250, 0.500)
Pt (0.250, 0.750, 0.500)
C (0.500, 0.500, 0.000)